Here is a relaxed structure of Ca6Sn2NO from the Materials Project. Energies are from PBE.

```
Ca6Sn2NO
1.0
-0.454 1.587 6.700
0.288 6.595 2.011
-5.656 3.115 2.433
O N Sn Ca
1 1 2 6
direct
0.000 0.000 0.000
0.500 0.500 0.500
0.750 0.750 0.750
0.250 0.250 0.250
0.252 0.748 0.252
0.252 0.748 0.748
0.748 0.252 0.748
0.252 0.252 0.748
0.748 0.252 0.252
0.748 0.748 0.252
```

## Properties
Symmetry = No. 225
Energy of formation = -1306.5 meV/atom
Total magnetic moment = 0.01 Bohr magnetons per cell

***

Here is a relaxed structure of Zr3Se2 from the Materials Project. Energies are from PBE.

```
Zr3Se2
1.0
1.716 -2.973 0.000
1.716 2.973 0.000
0.000 0.000 10.677
Se Zr
2 3
direct
0.667 0.333 0.178
0.667 0.333 0.822
0.000 0.000 0.353
0.000 0.000 0.647
0.000 0.000 0.000
```

## Properties
Symmetry = No. 187
Energy of formation = -1013.5 meV/atom
Total magnetic moment = 0.01 Bohr magnetons per cell

***

Here is a relaxed structure of Sr4Nb5O15 from the Materials Project. Energies are from PBE.

```
Sr4Nb5O15
1.0
2.873 8.613 0.000
-2.873 8.613 0.000
0.000 1.913 6.766
O Nb Sr
15 5 4
direct
0.500 0.500 0.000
0.589 0.103 0.103
0.411 0.897 0.897
0.897 0.897 0.410
0.205 0.692 0.692
0.103 0.589 0.103
0.500 0.000 0.500
0.103 0.103 0.590
0.897 0.411 0.897
0.300 0.300 0.800
0.692 0.205 0.692
0.700 0.700 0.200
0.795 0.308 0.308
0.000 0.500 0.500
0.308 0.795 0.308
0.000 0.000 0.500
0.198 0.198 0.704
0.402 0.402 0.900
0.598 0.598 0.100
0.802 0.802 0.296
0.198 0.198 0.199
0.802 0.802 0.801
0.598 0.598 0.605
0.402 0.402 0.395
```

## Properties
Symmetry = No. 12
Energy of formation = -3218.0 meV/atom

***

Here is a relaxed structure of CdNCl3 from the Materials Project. Energies are from PBE.

```
CdNCl3
1.0
5.109 -5.507 0.000
5.109 5.507 0.000
0.000 0.000 7.402
Cl Cd N
6 2 2
direct
0.821 0.137 0.250
0.863 0.179 0.750
0.324 0.324 0.250
0.137 0.821 0.250
0.676 0.676 0.750
0.179 0.863 0.750
0.000 0.000 0.000
0.000 0.000 0.500
0.518 0.518 0.750
0.482 0.482 0.250
```

## Properties
Symmetry = No. 63
Energy of formation = -304.0 meV/atom
Total magnetic moment = 4.00 Bohr magnetons per cell

***

Here is a relaxed structure of Na2Ta2Nb2Si5SO24 from the Materials Project. Energies are from PBE.

```
Na2Ta2Nb2Si5SO24
1.0
8.890 -0.016 -0.006
-4.459 7.721 0.000
-0.016 -0.009 22.899
Nb O S Ta Si Na
6 72 3 6 15 6
direct
0.326 0.656 0.020
0.999 0.004 0.145
0.332 0.655 0.315
0.680 0.357 0.191
0.659 0.343 0.974
0.007 0.015 0.857
0.496 0.639 0.577
0.647 0.130 0.137
0.833 0.306 0.526
0.814 0.834 0.193
0.500 0.640 0.859
0.029 0.192 0.911
0.168 0.696 0.474
0.841 0.809 0.593
0.025 0.192 0.192
0.360 0.857 0.859
0.145 0.507 0.578
0.820 0.296 0.241
0.833 0.021 0.807
0.164 0.469 0.974
0.140 0.639 0.358
0.696 0.529 0.526
0.161 0.969 0.909
0.531 0.697 0.975
0.181 0.980 0.196
0.485 0.316 0.744
0.978 0.794 0.803
0.806 0.971 0.410
0.031 0.841 0.407
0.135 0.502 0.858
0.635 0.497 0.922
0.497 0.135 0.641
0.301 0.478 0.757
0.512 0.871 0.080
0.158 0.695 0.756
0.974 0.814 0.091
0.860 0.361 0.642
0.468 0.167 0.525
0.835 0.807 0.307
0.363 0.496 0.359
0.366 0.509 0.079
0.805 0.972 0.693
0.692 0.149 0.031
0.187 0.164 0.091
0.689 0.525 0.244
0.300 0.467 0.475
0.978 0.166 0.306
0.825 0.028 0.089
0.833 0.523 0.027
0.361 0.854 0.577
0.305 0.829 0.975
0.152 0.648 0.078
0.209 0.028 0.302
0.851 0.356 0.925
0.166 0.482 0.255
0.519 0.700 0.254
0.471 0.305 0.026
0.518 0.832 0.757
0.699 0.178 0.745
0.638 0.146 0.422
0.302 0.844 0.252
0.865 0.505 0.141
0.844 0.538 0.745
0.816 0.838 0.909
0.526 0.832 0.474
0.463 0.157 0.242
0.163 0.186 0.407
0.499 0.859 0.358
0.507 0.360 0.423
0.025 0.818 0.697
0.197 0.169 0.807
0.504 0.140 0.926
0.856 0.496 0.423
0.186 0.023 0.593
0.971 0.164 0.590
0.640 0.498 0.642
0.501 0.351 0.141
0.167 0.187 0.693
0.287 0.001 0.249
0.665 0.048 0.084
0.000 0.714 0.750
0.985 0.997 0.360
0.996 0.011 0.641
0.333 0.665 0.523
0.658 0.323 0.686
0.667 0.336 0.479
0.340 0.667 0.811
0.048 0.667 0.417
0.044 0.383 0.915
0.958 0.625 0.082
0.000 0.287 0.251
0.713 0.003 0.749
0.952 0.340 0.583
0.290 0.289 0.749
0.332 0.948 0.916
0.667 0.618 0.584
0.381 0.335 0.084
0.377 0.043 0.582
0.334 0.376 0.419
0.622 0.675 0.916
0.711 0.722 0.251
0.611 0.953 0.418
0.001 0.996 0.502
0.672 0.334 0.342
0.005 0.996 0.996
0.330 0.655 0.169
0.337 0.665 0.662
0.661 0.325 0.829
```

## Properties
Symmetry = No. 1
Energy of formation = -3004.5 meV/atom
Total magnetic moment = 0.00 Bohr magnetons per cell

***

Here is a relaxed structure of Na3Nd5Cl18 from the Materials Project. Energies are from PBE.

```
Na3Nd5Cl18
1.0
-1.691 4.829 -5.625
-1.218 2.010 7.232
11.844 4.888 0.637
Cl Nd Na
18 5 3
direct
0.363 0.421 0.836
0.058 0.637 0.836
0.275 0.021 0.326
0.049 0.615 0.500
0.275 0.021 0.674
0.058 0.637 0.164
0.746 0.725 0.326
0.746 0.725 0.674
0.566 0.951 0.500
0.979 0.254 0.674
0.363 0.421 0.164
0.579 0.942 0.836
0.274 0.028 0.000
0.385 0.434 0.500
0.972 0.245 0.000
0.579 0.942 0.164
0.755 0.726 0.000
0.979 0.254 0.326
0.000 0.000 0.835
0.333 0.667 0.000
0.000 0.000 0.165
0.333 0.667 0.334
0.333 0.667 0.666
0.667 0.333 0.356
0.667 0.333 0.644
0.000 0.000 0.500
```

## Properties
Symmetry = No. 174
Energy of formation = -2585.4 meV/atom

***

Here is a relaxed structure of Ca7Ti8S16 from the Materials Project. Energies are from PBE.

```
Ca7Ti8S16
1.0
-5.168 0.584 5.022
3.086 -6.411 -1.283
9.187 2.592 9.152
S Ca Ti
16 7 8
direct
0.167 0.833 0.360
0.667 0.333 0.869
0.665 0.833 0.360
0.167 0.833 0.858
0.333 0.667 0.131
0.167 0.335 0.360
0.833 0.667 0.142
0.833 0.167 0.142
0.333 0.167 0.142
0.335 0.167 0.640
0.667 0.333 0.353
0.167 0.333 0.858
0.667 0.833 0.858
0.833 0.665 0.640
0.333 0.667 0.647
0.833 0.167 0.640
0.500 0.000 0.000
0.000 0.500 0.000
0.500 0.000 0.500
0.000 0.500 0.500
0.500 0.500 0.500
0.500 0.500 0.000
0.000 0.000 0.000
0.964 0.482 0.751
0.000 0.000 0.747
0.518 0.482 0.751
0.482 0.964 0.249
0.482 0.518 0.249
0.000 0.000 0.253
0.036 0.518 0.249
0.518 0.036 0.751
```

## Properties
Symmetry = No. 164
Energy of formation = -1822.5 meV/atom
Total magnetic moment = 1.04 Bohr magnetons per cell

***

Here is a relaxed structure of La5Pb3C from the Materials Project. Energies are from PBE.

```
La5Pb3C
1.0
4.861 -8.420 0.000
4.861 8.420 0.000
0.000 0.000 6.863
C La Pb
2 10 6
direct
0.000 0.000 0.000
0.000 0.000 0.500
0.790 0.000 0.750
0.210 0.000 0.250
0.000 0.210 0.250
0.667 0.333 0.500
0.333 0.667 0.000
0.210 0.210 0.750
0.333 0.667 0.500
0.000 0.790 0.750
0.667 0.333 0.000
0.790 0.790 0.250
0.405 0.405 0.250
0.000 0.405 0.750
0.595 0.000 0.250
0.595 0.595 0.750
0.405 0.000 0.750
0.000 0.595 0.250
```

## Properties
Symmetry = No. 193
Energy of formation = -510.1 meV/atom
Total magnetic moment = 1.46 Bohr magnetons per cell

***

Here is a relaxed structure of SrGe4O9 from the Materials Project. Energies are from PBE.

```
SrGe4O9
1.0
-10.478 3.573 3.145
1.227 -9.932 -5.683
0.461 -2.349 4.204
Sr O Ge
3 27 12
direct
0.327 0.000 0.000
0.000 0.327 0.000
0.673 0.673 0.000
0.845 0.906 0.237
0.490 0.739 0.327
0.423 0.602 0.877
0.155 0.061 0.763
0.739 0.490 0.673
0.510 0.249 0.673
0.602 0.423 0.123
0.675 0.889 0.705
0.889 0.675 0.295
0.577 0.179 0.123
0.214 0.325 0.705
0.751 0.261 0.673
0.094 0.939 0.237
0.906 0.845 0.763
0.821 0.398 0.123
0.398 0.821 0.877
0.511 0.000 0.500
0.249 0.510 0.327
0.179 0.577 0.877
0.325 0.214 0.295
0.786 0.111 0.295
0.061 0.155 0.237
0.939 0.094 0.763
0.489 0.489 0.500
0.111 0.786 0.705
0.000 0.511 0.500
0.261 0.751 0.327
0.180 0.180 0.500
0.491 0.341 0.401
0.820 0.000 0.500
0.341 0.491 0.599
0.333 0.667 0.106
0.850 0.509 0.401
0.509 0.850 0.599
0.150 0.659 0.599
0.667 0.333 0.894
0.000 0.000 0.000
0.000 0.820 0.500
0.659 0.150 0.401
```

## Properties
Symmetry = No. 150
Energy of formation = -2339.0 meV/atom

***

Here is a relaxed structure of YAl8Ni3 from the Materials Project. Energies are from PBE.

```
YAl8Ni3
1.0
-3.922 0.000 0.000
0.000 0.000 -6.720
-1.961 -7.344 0.000
Al Ni Y
8 3 1
direct
0.309 0.943 0.382
0.680 0.460 0.640
0.309 0.557 0.382
0.680 0.040 0.640
0.074 0.250 0.853
0.505 0.516 0.991
0.505 0.984 0.991
0.936 0.750 0.128
0.230 0.250 0.540
0.125 0.750 0.749
0.773 0.750 0.454
0.875 0.250 0.250
```

## Properties
Symmetry = No. 38
Energy of formation = -302.3 meV/atom
Total magnetic moment = 0.00 Bohr magnetons per cell

***

The lowest energy of formation belongs to which entry?
Sr4Nb5O15

***

energy of formation of number 2 (Zr3Se2)?
-1013.5 meV/atom

***

What did the tenth record say?
Here is a relaxed structure of YAl8Ni3 from the Materials Project. Energies are from PBE.

```
YAl8Ni3
1.0
-3.922 0.000 0.000
0.000 0.000 -6.720
-1.961 -7.344 0.000
Al Ni Y
8 3 1
direct
0.309 0.943 0.382
0.680 0.460 0.640
0.309 0.557 0.382
0.680 0.040 0.640
0.074 0.250 0.853
0.505 0.516 0.991
0.505 0.984 0.991
0.936 0.750 0.128
0.230 0.250 0.540
0.125 0.750 0.749
0.773 0.750 0.454
0.875 0.250 0.250
```

## Properties
Symmetry = No. 38
Energy of formation = -302.3 meV/atom
Total magnetic moment = 0.00 Bohr magnetons per cell

***

The lowest energy of formation belongs to which entry?
Sr4Nb5O15